Entry 1:
{
  "formula": "Sm2C3",
  "functional": "PBE",
  "state": "optimized geometry",
  "lattice": [[-4.239, 4.239, 4.239], [4.239, -4.239, 4.239], [4.239, 4.239, -4.239]],
  "species": ["Sm", "Sm", "Sm", "Sm", "Sm", "Sm", "Sm", "Sm", "C", "C", "C", "C", "C", "C", "C", "C", "C", "C", "C", "C"],
  "frac_coords": [[0.000, 0.103, 0.500], [0.000, 0.603, 0.500], [0.103, 0.500, 0.000], [0.397, 0.397, 0.397], [0.500, 0.000, 0.103], [0.500, 0.000, 0.603], [0.603, 0.500, 0.000], [0.897, 0.897, 0.897], [0.046, 0.796, 0.250], [0.204, 0.954, 0.250], [0.250, 0.046, 0.796], [0.250, 0.204, 0.954], [0.296, 0.546, 0.750], [0.454, 0.704, 0.750], [0.546, 0.750, 0.296], [0.704, 0.750, 0.454], [0.750, 0.296, 0.546], [0.750, 0.454, 0.704], [0.796, 0.250, 0.046], [0.954, 0.250, 0.204]],
  "rho_g_cm3": 7.34,
  "formation_enthalpy_0k_ev_per_atom": -0.206,
  "spacegroup": "I-43d"
}

=====

Entry 2:
{
  "formula": "Sm3TlC",
  "functional": "PBE",
  "state": "optimized geometry",
  "lattice": [[5.063, 0.000, 0.000], [0.000, 5.063, 0.000], [0.000, 0.000, 5.063]],
  "species": ["Sm", "Sm", "Sm", "Tl", "C"],
  "frac_coords": [[0.000, 0.000, 0.500], [0.000, 0.500, 0.000], [0.500, 0.000, 0.000], [0.500, 0.500, 0.500], [0.000, 0.000, 0.000]],
  "rho_g_cm3": 8.54,
  "formation_enthalpy_0k_ev_per_atom": -0.340,
  "spacegroup": "Pm-3m"
}

=====

Entry 3:
{
  "formula": "SnC",
  "functional": "PBE",
  "state": "optimized geometry",
  "lattice": [[0.000, 2.543, 2.543], [2.543, 0.000, 2.543], [2.543, 2.543, 0.000]],
  "species": ["Sn", "C"],
  "frac_coords": [[0.000, 0.000, 0.000], [0.750, 0.750, 0.750]],
  "rho_g_cm3": 6.60,
  "formation_enthalpy_0k_ev_per_atom": 0.818,
  "spacegroup": "F-43m",
  "magmom_total_mub_per_cell": 0.00,
  "piezo_max_c_m2": 0.09
}

=====

Entry 4:
{
  "formula": "SnC",
  "functional": "PBE",
  "state": "optimized geometry",
  "lattice": [[0.000, 2.395, 2.395], [2.395, 0.000, 2.395], [2.395, 2.395, 0.000]],
  "species": ["Sn", "C"],
  "frac_coords": [[0.000, 0.000, 0.000], [0.500, 0.500, 0.500]],
  "rho_g_cm3": 7.90,
  "formation_enthalpy_0k_ev_per_atom": 1.296,
  "spacegroup": "Fm-3m",
  "magmom_total_mub_per_cell": 0.00
}

=====

Entry 5:
{
  "formula": "Ti3SnC2",
  "functional": "PBE",
  "state": "optimized geometry",
  "lattice": [[3.150, 0.000, 0.000], [-1.575, 2.728, 0.000], [0.000, 0.000, 18.733]],
  "species": ["Ti", "Ti", "Ti", "Ti", "Ti", "Ti", "Sn", "Sn", "C", "C", "C", "C"],
  "frac_coords": [[0.000, 0.000, 0.000], [0.000, 0.000, 0.500], [0.333, 0.667, 0.124], [0.333, 0.667, 0.376], [0.667, 0.333, 0.624], [0.667, 0.333, 0.876], [0.000, 0.000, 0.250], [0.000, 0.000, 0.750], [0.333, 0.667, 0.568], [0.333, 0.667, 0.932], [0.667, 0.333, 0.068], [0.667, 0.333, 0.432]],
  "rho_g_cm3": 5.91,
  "formation_enthalpy_0k_ev_per_atom": -0.781,
  "spacegroup": "P6_3/mmc"
}

=====

Entry 6:
{
  "formula": "Tm3SnC",
  "functional": "PBE",
  "state": "optimized geometry",
  "lattice": [[5.524, 0.000, 0.000], [0.000, 5.524, 0.000], [0.000, 0.000, 5.524]],
  "species": ["Tm", "Tm", "Tm", "Sn", "C"],
  "frac_coords": [[0.000, 0.000, 0.500], [0.000, 0.500, 0.000], [0.500, 0.000, 0.000], [0.000, 0.000, 0.000], [0.500, 0.500, 0.500]],
  "rho_g_cm3": 6.28,
  "formation_enthalpy_0k_ev_per_atom": 1.507,
  "spacegroup": "Pm-3m",
  "magmom_total_mub_per_cell": 0.00
}

=====

Entry 7:
{
  "formula": "Zr2SnC",
  "functional": "PBE",
  "state": "optimized geometry",
  "lattice": [[3.376, 0.000, 0.000], [-1.688, 2.924, 0.000], [0.000, 0.000, 14.795]],
  "species": ["Zr", "Zr", "Zr", "Zr", "Sn", "Sn", "C", "C"],
  "frac_coords": [[0.333, 0.667, 0.085], [0.333, 0.667, 0.415], [0.667, 0.333, 0.585], [0.667, 0.333, 0.915], [0.333, 0.667, 0.750], [0.667, 0.333, 0.250], [0.000, 0.000, 0.000], [0.000, 0.000, 0.500]],
  "rho_g_cm3": 7.12,
  "formation_enthalpy_0k_ev_per_atom": -0.783,
  "spacegroup": "P6_3/mmc"
}

=====

Entry 8:
{
  "formula": "Zr5Sn3C",
  "functional": "PBE",
  "state": "optimized geometry",
  "lattice": [[8.508, 0.000, 0.000], [-4.254, 7.368, 0.000], [0.000, 0.000, 5.867]],
  "species": ["Zr", "Zr", "Zr", "Zr", "Zr", "Zr", "Zr", "Zr", "Zr", "Zr", "Sn", "Sn", "Sn", "Sn", "Sn", "Sn", "C", "C"],
  "frac_coords": [[0.000, 0.218, 0.250], [0.000, 0.782, 0.750], [0.218, 0.000, 0.250], [0.218, 0.218, 0.750], [0.333, 0.667, 0.000], [0.333, 0.667, 0.500], [0.667, 0.333, 0.000], [0.667, 0.333, 0.500], [0.782, 0.000, 0.750], [0.782, 0.782, 0.250], [0.000, 0.403, 0.750], [0.000, 0.597, 0.250], [0.403, 0.000, 0.750], [0.403, 0.403, 0.250], [0.597, 0.000, 0.250], [0.597, 0.597, 0.750], [0.000, 0.000, 0.000], [0.000, 0.000, 0.500]],
  "rho_g_cm3": 7.44,
  "formation_enthalpy_0k_ev_per_atom": -0.676,
  "spacegroup": "P6_3/mcm"
}

=====

Please write out number 7 again, unchanged.
{
  "formula": "Zr2SnC",
  "functional": "PBE",
  "state": "optimized geometry",
  "lattice": [[3.376, 0.000, 0.000], [-1.688, 2.924, 0.000], [0.000, 0.000, 14.795]],
  "species": ["Zr", "Zr", "Zr", "Zr", "Sn", "Sn", "C", "C"],
  "frac_coords": [[0.333, 0.667, 0.085], [0.333, 0.667, 0.415], [0.667, 0.333, 0.585], [0.667, 0.333, 0.915], [0.333, 0.667, 0.750], [0.667, 0.333, 0.250], [0.000, 0.000, 0.000], [0.000, 0.000, 0.500]],
  "rho_g_cm3": 7.12,
  "formation_enthalpy_0k_ev_per_atom": -0.783,
  "spacegroup": "P6_3/mmc"
}